# PBE+U MgMn2P2H4O10, optimized geometry
data_MgMn2P2H4O10
_chemical_formula_sum 'Mg1 Mn2 P2 H4 O10'
_symmetry_space_group_name_H-M 'P 1'
_symmetry_Int_Tables_number 1
_symmetry_space_group_name_Hall 'P 1'
_cell_length_a 5.219
_cell_length_b 5.563
_cell_length_c 7.960
_cell_angle_alpha 102.19
_cell_angle_beta 107.46
_cell_angle_gamma 103.51
loop_
_atom_site_label
_atom_site_type_symbol
_atom_site_fract_x
_atom_site_fract_y
_atom_site_fract_z
Mg1 Mg 0.000 0.000 0.000
Mn1 Mn 0.339 0.612 0.105
Mn2 Mn 0.347 0.569 0.574
P1 P 0.028 0.945 0.339
P2 P 0.605 0.225 0.882
H1 H 0.121 0.768 0.756
H2 H 0.481 0.295 0.325
H3 H 0.742 0.573 0.397
H4 H 0.862 0.541 0.786
O1 O 0.044 0.206 0.457
O2 O 0.045 0.746 0.450
O3 O 0.071 0.693 0.848
O4 O 0.268 0.974 0.252
O5 O 0.361 0.232 0.953
O6 O 0.527 0.489 0.361
O7 O 0.590 0.940 0.791
O8 O 0.601 0.389 0.745
O9 O 0.756 0.836 0.158
O10 O 0.906 0.337 0.040
# **Distance to the lowest polymorph of the same formula**: 0.019 eV/atom
# **Total magnetization**: 10.0 μB/cell
# **Mass density**: 2.93 g/cm³

=====

# PBE+U MgMo2O7, optimized geometry
data_MgMo2O7
_chemical_formula_sum 'Mg2 Mo4 O14'
_symmetry_space_group_name_H-M 'P 1 21 1'
_symmetry_Int_Tables_number 4
_symmetry_space_group_name_Hall 'P 2yb'
_cell_length_a 6.459
_cell_length_b 6.798
_cell_length_c 8.202
_cell_angle_alpha 90.00
_cell_angle_beta 106.89
_cell_angle_gamma 90.00
loop_
_atom_site_label
_atom_site_type_symbol
_atom_site_fract_x
_atom_site_fract_y
_atom_site_fract_z
Mg1 Mg 0.099 0.000 0.143
Mo1 Mo 0.101 0.505 0.293
Mo2 Mo 0.365 0.548 0.726
O1 O 0.043 0.623 0.085
O2 O 0.129 0.425 0.749
O3 O 0.137 0.983 0.655
O4 O 0.187 0.261 0.268
O5 O 0.301 0.623 0.488
O6 O 0.401 0.892 0.222
O7 O 0.421 0.740 0.867
# **Distance to the lowest polymorph of the same formula**: 0.113 eV/atom
# **Total magnetization**: 0.0 μB/cell
# **Mass density**: 3.16 g/cm³

=====

# PBE+U Li9Mn2Co5O16, optimized geometry
data_Li9Mn2Co5O16
_chemical_formula_sum 'Li9 Mn2 Co5 O16'
_symmetry_space_group_name_H-M 'P 1 m 1'
_symmetry_Int_Tables_number 6
_symmetry_space_group_name_Hall 'P -2y'
_cell_length_a 9.764
_cell_length_b 2.913
_cell_length_c 10.295
_cell_angle_alpha 90.00
_cell_angle_beta 100.32
_cell_angle_gamma 90.00
loop_
_atom_site_label
_atom_site_type_symbol
_atom_site_fract_x
_atom_site_fract_y
_atom_site_fract_z
Li1 Li 0.000 0.000 0.000
Li2 Li 0.003 0.000 0.504
Li3 Li 0.237 0.500 0.112
Li4 Li 0.245 0.500 0.636
Li5 Li 0.247 0.000 0.872
Li6 Li 0.483 0.000 0.753
Li7 Li 0.493 0.000 0.245
Li8 Li 0.746 0.500 0.372
Li9 Li 0.750 0.500 0.873
Mn1 Mn 0.487 0.500 0.992
Mn2 Mn 0.748 0.000 0.623
Co1 Co 0.015 0.500 0.766
Co2 Co 0.246 0.000 0.376
Co3 Co 0.491 0.500 0.497
Co4 Co 0.745 0.000 0.125
Co5 Co 0.995 0.500 0.249
O1 O 0.110 0.000 0.689
O2 O 0.110 0.500 0.931
O3 O 0.114 0.000 0.195
O4 O 0.126 0.500 0.429
O5 O 0.369 0.500 0.318
O6 O 0.379 0.000 0.557
O7 O 0.382 0.500 0.826
O8 O 0.385 0.000 0.054
O9 O 0.609 0.000 0.945
O10 O 0.620 0.000 0.450
O11 O 0.622 0.500 0.173
O12 O 0.635 0.500 0.676
O13 O 0.855 0.500 0.567
O14 O 0.860 0.500 0.068
O15 O 0.866 0.000 0.793
O16 O 0.875 0.000 0.304
# **Distance to the lowest polymorph of the same formula**: 0.050 eV/atom
# **Total magnetization**: 6.1 μB/cell
# **Mass density**: 4.17 g/cm³

=====

# PBE+U VH9N3F3, optimized geometry
data_VH9N3F3
_chemical_formula_sum 'V4 H36 N12 F12'
_symmetry_space_group_name_H-M 'P 1 21/c 1'
_symmetry_Int_Tables_number 14
_symmetry_space_group_name_Hall '-P 2ybc'
_cell_length_a 5.811
_cell_length_b 9.545
_cell_length_c 10.703
_cell_angle_alpha 90.00
_cell_angle_beta 90.02
_cell_angle_gamma 90.00
loop_
_atom_site_label
_atom_site_type_symbol
_atom_site_fract_x
_atom_site_fract_y
_atom_site_fract_z
V1 V 0.238 0.232 0.242
H1 H 0.002 0.162 0.452
H2 H 0.008 0.021 0.364
H3 H 0.109 0.516 0.640
H4 H 0.180 0.645 0.164
H5 H 0.243 0.072 0.028
H6 H 0.343 0.699 0.866
H7 H 0.396 0.508 0.638
H8 H 0.460 0.175 0.526
H9 H 0.490 0.059 0.638
N1 N 0.012 0.628 0.138
N2 N 0.248 0.047 0.122
N3 N 0.490 0.165 0.620
F1 F 0.005 0.696 0.866
F2 F 0.228 0.106 0.852
F3 F 0.484 0.143 0.336
# **Total magnetization**: 8.0 μB/cell
# **Electronic total energy**: -5.34 eV/atom
# **Mass density**: 1.78 g/cm³